(1)
A relaxed structure of U2CuP2O20, computed with PBE.

Output
ΔE_f: -1.18 eV per atom
Total moment: 5.944 μB/f.u.
Crystal system: tetragonal

a b c (Å): 7.011 7.011 18.052
angles (deg): 90.00 90.00 90.00
Space group P4/nmm (No. 129, origin choice 2)
Symmetry-distinct sites (fractional):
U 0.250 0.250 0.054 x2
U 0.250 0.250 0.556 x2
Cu 0.250 0.250 0.811 x2
P 0.250 0.750 0.000 x2
P 0.250 0.750 0.500 x2
O 0.072 0.072 0.805 x8
O 0.072 0.750 0.950 x8
O 0.073 0.750 0.449 x8
O 0.147 0.147 0.316 x8
O 0.250 0.250 0.155 x2
O 0.250 0.250 0.456 x2
O 0.250 0.250 0.657 x2
O 0.250 0.250 0.953 x2


(2)
A relaxed structure of U2CuP2O20, computed with PBE.

Output
ΔE_f: -1.18 eV per atom
Total moment: 3.675 μB/f.u.
Crystal system: tetragonal

a b c (Å): 6.992 6.992 9.082
angles (deg): 90.00 90.00 90.00
Space group P4mm (No. 99)
Symmetry-distinct sites (fractional):
U 0.000 0.000 0.000 x1
U 0.500 0.500 0.220 x1
Cu 0.000 0.000 0.504 x1
P 0.000 0.500 0.109 x2
O 0.000 0.000 0.200 x1
O 0.000 0.000 0.798 x1
O 0.000 0.253 0.511 x4
O 0.000 0.322 0.008 x4
O 0.179 0.500 0.209 x4
O 0.354 0.500 0.710 x4
O 0.500 0.500 0.020 x1
O 0.500 0.500 0.420 x1


(3)
A relaxed structure of ZnCuP2O7, computed with PBE.

Output
ΔE_f: -2.20 eV per atom
Total moment: 1.000 μB/f.u.
Crystal system: monoclinic

a b c (Å): 6.886 8.274 4.615
angles (deg): 90.00 108.43 90.00
Space group C2 (No. 5)
Symmetry-distinct sites (fractional):
Zn 0.000 0.000 0.000 x2
Cu 0.000 0.380 0.000 x2
P 0.203 0.698 0.408 x4
O 0.000 0.722 0.500 x2
O 0.122 0.193 0.281 x4
O 0.198 0.540 0.236 x4
O 0.219 0.846 0.220 x4